Na2AgMoF6 after structural relaxation. Source: the Materials Project database, functional PBE+U.

## Properties
Its energy of formation from the pure elements is -2385 meV per atom. As for the space-group type: Fm-3m (225). The value obtained for the calculated density is 3.47 g/cm3.

POSCAR file:
```
Na2AgMoF6
1.0
0.0000 4.4317 4.4317
4.4317 0.0000 4.4317
4.4317 4.4317 0.0000
Na Ag Mo F
2 1 1 6
Cartesian
2.2158 2.2158 2.2158 Na
6.6475 6.6475 6.6475 Na
0.0000 0.0000 0.0000 Ag
4.4317 4.4317 4.4317 Mo
4.4317 4.4317 2.3686 F
4.4317 2.3686 4.4317 F
6.4947 4.4317 4.4317 F
2.3686 4.4317 4.4317 F
4.4317 6.4947 4.4317 F
4.4317 4.4317 6.4947 F
```


KSrPrFeO6 after structural relaxation. Source: the Materials Project database, functional PBE+U.

## Properties
Its energy of formation from the pure elements is -2179 meV per atom. As for the space-group type: F-43m (216). The value obtained for the calculated density is 4.74 g/cm3.

POSCAR file:
```
KSrPrFeO6
1.0
0.0000 4.1887 4.1887
4.1887 0.0000 4.1887
4.1887 4.1887 0.0000
K Sr Pr Fe O
1 1 1 1 6
Cartesian
0.0000 0.0000 0.0000 K
4.1887 4.1887 4.1887 Sr
2.0943 2.0943 2.0943 Pr
6.2830 6.2830 6.2830 Fe
6.2830 6.2830 4.4108 O
6.2830 4.4108 6.2830 O
8.1552 6.2830 6.2830 O
4.4108 6.2830 6.2830 O
6.2830 8.1552 6.2830 O
6.2830 6.2830 8.1552 O
```


Question: What is the formula in the first record?
Answer: Na2AgMoF6


Question: What is the energy of formation from the pure elements in the second record?
Answer: -2179 meV per atom


Question: Which value of energy of formation from the pure elements does entry 2 give?
Answer: -2179 meV per atom